The following is a DFT calculation (PBE) of a geometry-optimized Ba6Cu3Hg3O13 structure.

Calculated values
**VASP energy**: -127.28 eV per formula unit
**Formation energy from the elements**: -1.8867 eV/atom
**Calculated volume**: 17.94 Å³ per atom

```
data_Ba6Cu3Hg3O13
_cell_length_a 16.639
_cell_length_b 5.508
_cell_length_c 11.252
_cell_angle_alpha 90.00
_cell_angle_beta 119.57
_cell_angle_gamma 90.00
_symmetry_space_group_name_H-M 'C 1 2/m 1'
_symmetry_Int_Tables_number 12
_symmetry_space_group_name_Hall '-C 2y'
loop_
_atom_site_label
_atom_site_type_symbol
_atom_site_fract_x
_atom_site_fract_y
_atom_site_fract_z
Ba1 Ba 0.069 0.000 0.206
Ba2 Ba 0.093 0.500 0.780
Ba3 Ba 0.234 0.500 0.204
Cu1 Cu 0.000 0.500 0.000
Cu2 Cu 0.167 0.000 0.999
Hg1 Hg 0.000 0.000 0.500
Hg2 Hg 0.163 0.500 0.500
O1 O 0.000 0.500 0.500
O2 O 0.070 0.000 0.709
O3 O 0.082 0.247 0.001
O4 O 0.101 0.500 0.292
O5 O 0.240 0.500 0.708
O6 O 0.250 0.250 0.000
```

***

The following is a DFT calculation (PBE) of a geometry-optimized Ba2Cu2HgO6 structure.

Calculated values
**VASP energy**: -54.60 eV per formula unit
**Formation energy from the elements**: -1.5174 eV/atom
**Calculated volume**: 17.24 Å³ per atom

```
data_Ba2Cu2HgO6
_cell_length_a 3.719
_cell_length_b 3.719
_cell_length_c 13.710
_cell_angle_alpha 90.00
_cell_angle_beta 90.00
_cell_angle_gamma 90.00
_symmetry_space_group_name_H-M 'P 4/m m m'
_symmetry_Int_Tables_number 123
_symmetry_space_group_name_Hall '-P 4 2'
loop_
_atom_site_label
_atom_site_type_symbol
_atom_site_fract_x
_atom_site_fract_y
_atom_site_fract_z
Ba1 Ba 0.000 0.000 0.228
Cu1 Cu 0.500 0.500 0.398
Hg1 Hg 0.500 0.500 0.000
O1 O 0.000 0.500 0.369
O2 O 0.500 0.500 0.146
```

***

The following is a DFT calculation (PBE) of a geometry-optimized Ba2Tl2Cu2HgO8 structure.

Calculated values
**VASP energy**: -73.64 eV per formula unit
**Formation energy from the elements**: -1.4992 eV/atom
**Calculated volume**: 15.12 Å³ per atom

```
data_Ba2Tl2Cu2HgO8
_cell_length_a 3.912
_cell_length_b 3.912
_cell_length_c 29.645
_cell_angle_alpha 90.00
_cell_angle_beta 90.00
_cell_angle_gamma 90.00
_symmetry_space_group_name_H-M 'I 4 m m'
_symmetry_Int_Tables_number 107
_symmetry_space_group_name_Hall 'I 4 -2'
loop_
_atom_site_label
_atom_site_type_symbol
_atom_site_fract_x
_atom_site_fract_y
_atom_site_fract_z
Ba1 Ba 0.000 0.000 0.000
Ba2 Ba 0.000 0.000 0.251
Tl1 Tl 0.000 0.000 0.127
Tl2 Tl 0.000 0.000 0.841
Cu1 Cu 0.000 0.000 0.570
Cu2 Cu 0.000 0.000 0.683
Hg1 Hg 0.000 0.000 0.415
O1 O 0.000 0.000 0.343
O2 O 0.000 0.000 0.487
O3 O 0.000 0.000 0.771
O4 O 0.000 0.000 0.909
O5 O 0.000 0.500 0.077
O6 O 0.000 0.500 0.178
```

***

The following is a DFT calculation (PBE) of a geometry-optimized Ba4Tl2Cu2HgO10 structure.

Calculated values
**VASP energy**: -98.83 eV per formula unit
**Formation energy from the elements**: -1.8589 eV/atom
**Calculated volume**: 17.61 Å³ per atom

```
data_Ba4Tl2Cu2HgO10
_cell_length_a 3.921
_cell_length_b 3.921
_cell_length_c 43.525
_cell_angle_alpha 90.00
_cell_angle_beta 90.00
_cell_angle_gamma 90.00
_symmetry_space_group_name_H-M 'I 4/m m m'
_symmetry_Int_Tables_number 139
_symmetry_space_group_name_Hall '-I 4 2'
loop_
_atom_site_label
_atom_site_type_symbol
_atom_site_fract_x
_atom_site_fract_y
_atom_site_fract_z
Ba1 Ba 0.000 0.000 0.069
Ba2 Ba 0.000 0.000 0.158
Tl1 Tl 0.000 0.000 0.276
Cu1 Cu 0.000 0.000 0.386
Hg1 Hg 0.000 0.000 0.500
O1 O 0.000 0.000 0.228
O2 O 0.000 0.000 0.323
O3 O 0.000 0.000 0.454
O4 O 0.000 0.500 0.113
```

***

The following is a DFT calculation (PBE) of a geometry-optimized Ba2YCu2HgO7 structure.

Calculated values
**VASP energy**: -75.79 eV per formula unit
**Formation energy from the elements**: -2.0887 eV/atom
**Calculated volume**: 15.03 Å³ per atom

```
data_Ba2YCu2HgO7
_cell_length_a 3.893
_cell_length_b 3.893
_cell_length_c 12.899
_cell_angle_alpha 90.00
_cell_angle_beta 90.00
_cell_angle_gamma 90.00
_symmetry_space_group_name_H-M 'P 4/m m m'
_symmetry_Int_Tables_number 123
_symmetry_space_group_name_Hall '-P 4 2'
loop_
_atom_site_label
_atom_site_type_symbol
_atom_site_fract_x
_atom_site_fract_y
_atom_site_fract_z
Ba1 Ba 0.000 0.000 0.202
Y1 Y 0.000 0.000 0.500
Cu1 Cu 0.500 0.500 0.371
Hg1 Hg 0.500 0.500 0.000
O1 O 0.000 0.000 0.000
O2 O 0.000 0.500 0.388
O3 O 0.500 0.500 0.165
```

***

The following is a DFT calculation (PBE) of a geometry-optimized Ba2HoMgCu3O7 structure.

Calculated values
**VASP energy**: -80.80 eV per formula unit
**Excess energy over the best structure of this formula in the dataset**: 38 meV/atom
**Formation energy from the elements**: -2.0468 eV/atom
**Calculated volume**: 14.64 Å³ per atom

```
data_Ba2HoMgCu3O7
_cell_length_a 3.757
_cell_length_b 13.123
_cell_length_c 4.158
_cell_angle_alpha 90.00
_cell_angle_beta 90.00
_cell_angle_gamma 90.00
_symmetry_space_group_name_H-M 'P m m 2'
_symmetry_Int_Tables_number 25
_symmetry_space_group_name_Hall 'P 2 -2'
loop_
_atom_site_label
_atom_site_type_symbol
_atom_site_fract_x
_atom_site_fract_y
_atom_site_fract_z
Ba1 Ba 0.000 0.230 0.000
Ho1 Ho 0.000 0.500 0.989
Mg1 Mg 0.000 0.000 0.698
Cu1 Cu 0.500 0.000 0.309
Cu2 Cu 0.500 0.390 0.485
O1 O 0.000 0.390 0.479
O2 O 0.500 0.000 0.839
O3 O 0.500 0.145 0.368
O4 O 0.500 0.390 0.984
```

***

The following is a DFT calculation (PBE) of a geometry-optimized Ba2HoMgCu3O7 structure.

Calculated values
**VASP energy**: -81.34 eV per formula unit
**Excess energy over the best structure of this formula in the dataset**: 0 meV/atom
**Formation energy from the elements**: -2.0851 eV/atom
**Calculated volume**: 15.31 Å³ per atom

```
data_Ba2HoMgCu3O7
_cell_length_a 3.735
_cell_length_b 3.944
_cell_length_c 14.549
_cell_angle_alpha 90.00
_cell_angle_beta 90.00
_cell_angle_gamma 90.00
_symmetry_space_group_name_H-M 'P m m 2'
_symmetry_Int_Tables_number 25
_symmetry_space_group_name_Hall 'P 2 -2'
loop_
_atom_site_label
_atom_site_type_symbol
_atom_site_fract_x
_atom_site_fract_y
_atom_site_fract_z
Ba1 Ba 0.000 0.000 0.000
Ba2 Ba 0.000 0.000 0.309
Ho1 Ho 0.000 0.000 0.743
Mg1 Mg 0.000 0.500 0.499
Cu1 Cu 0.500 0.500 0.157
Cu2 Cu 0.500 0.500 0.642
Cu3 Cu 0.500 0.500 0.859
O1 O 0.000 0.500 0.633
O2 O 0.000 0.500 0.828
O3 O 0.500 0.000 0.195
O4 O 0.500 0.000 0.651
O5 O 0.500 0.000 0.848
O6 O 0.500 0.500 0.023
O7 O 0.500 0.500 0.432
```

***

The following is a DFT calculation (PBE) of a geometry-optimized Ba2HoCu3O7 structure.

Calculated values
**VASP energy**: -79.03 eV per formula unit
**Formation energy from the elements**: -2.1913 eV/atom
**Calculated volume**: 13.64 Å³ per atom

```
data_Ba2HoCu3O7
_cell_length_a 3.837
_cell_length_b 3.919
_cell_length_c 11.791
_cell_angle_alpha 90.00
_cell_angle_beta 90.00
_cell_angle_gamma 90.00
_symmetry_space_group_name_H-M 'P m m m'
_symmetry_Int_Tables_number 47
_symmetry_space_group_name_Hall '-P 2 2'
loop_
_atom_site_label
_atom_site_type_symbol
_atom_site_fract_x
_atom_site_fract_y
_atom_site_fract_z
Ba1 Ba 0.000 0.000 0.181
Ho1 Ho 0.000 0.000 0.500
Cu1 Cu 0.500 0.500 0.000
Cu2 Cu 0.500 0.500 0.355
O1 O 0.000 0.500 0.381
O2 O 0.500 0.000 0.000
O3 O 0.500 0.000 0.380
O4 O 0.500 0.500 0.160
```